(1)
A plane-wave DFT calculation with PBE was carried out for crystalline RbNa3Li12Si4O16 at its relaxed geometry.

Cell: 8.3928 8.3928 8.3928 Å, 98.24 98.24 135.50°
Closest atoms and distances in Å follow each position.
Atoms (fractional coordinates):
Li 0.9275 0.2863 0.2138  4 O 1.90-2.06
Li 0.4907 0.1492 0.1264  3 O 1.92-1.99
Si 0.2198 0.4252 0.6449  4 O 1.65-1.67
O 0.6330 0.9133 0.1131  1 Si 1.66
Na 0.5000 0.5000 0.0000  8 O 2.72
Li 0.9772 0.6357 0.1264  3 O 1.92-1.99
O 0.8394 0.4352 0.2745  1 Si 1.67
Li 0.0228 0.3643 0.8736  3 O 1.92-1.99
Li 0.8508 0.9772 0.3415  3 O 1.92-1.99
Si 0.4252 0.7802 0.2054  4 O 1.65-1.67
O 0.5648 0.8394 0.4042  1 Si 1.67
O 0.1606 0.5648 0.7255  1 Si 1.67
O 0.0867 0.1998 0.7197  1 Si 1.66
Li 0.7137 0.9275 0.6413  4 O 1.90-2.06
O 0.3670 0.0867 0.8869  1 Si 1.66
Na 0.2500 0.7500 0.5000  8 O 2.48-2.76
Li 0.0725 0.7137 0.7862  4 O 1.90-2.06
O 0.1998 0.4801 0.1131  1 Si 1.66
O 0.8921 0.6748 0.5669  1 Si 1.65
Li 0.3643 0.4907 0.3415  3 O 1.92-1.99
Li 0.5093 0.8508 0.8736  3 O 1.92-1.99
Li 0.6357 0.5093 0.6585  3 O 1.92-1.99
O 0.5199 0.6330 0.7197  1 Si 1.66
Li 0.2863 0.0725 0.3587  4 O 1.90-2.06
O 0.9133 0.8002 0.2803  1 Si 1.66
O 0.4352 0.1606 0.5958  1 Si 1.67
Rb 0.0000 0.0000 0.0000  8 O 2.96, 2 Na 3.18, 12 Li 3.24-3.27
O 0.4801 0.3670 0.2803  1 Si 1.66
Li 0.1492 0.0228 0.6585  3 O 1.92-1.99
O 0.1079 0.3252 0.4331  1 Si 1.65
Si 0.7802 0.5748 0.3551  4 O 1.65-1.67
O 0.6748 0.1079 0.7827  1 Si 1.65
O 0.8002 0.5199 0.8869  1 Si 1.66
Na 0.7500 0.2500 0.5000  8 O 2.48-2.76
O 0.3252 0.8921 0.2173  1 Si 1.65
Si 0.5748 0.2198 0.7946  4 O 1.65-1.67

## Properties
volume: 10.65 Å³ per atom
energy with MP2020 corrections: -6.20 eV per atom
symmetry: I4/m, No. 87
spin magnetization: 0.0 μB per cell
energy of formation from the pure elements: -2.625 eV/atom


(2)
A plane-wave DFT calculation with PBE was carried out for crystalline RbNaLi6Si2O8 at its relaxed geometry.

Cell: 8.5508 8.5508 7.8866 Å, 89.47 89.47 43.69°
Closest atoms and distances in Å follow each position.
Atoms (fractional coordinates):
O 0.4143 0.9760 0.1955  1 Si 1.66
Si 0.1460 0.1460 0.1404  4 O 1.66
Li 0.4449 0.9291 0.8663  3 O 1.92-1.94
O 0.9760 0.4143 0.1955  1 Si 1.66
Li 0.9291 0.4449 0.8663  3 O 1.92-1.94
Si 0.8540 0.8540 0.8596  4 O 1.66
O 0.0530 0.0530 0.2389  1 Si 1.66
Rb 0.2446 0.2446 0.5311  8 O 2.97-3.10, 4 Li 3.17-3.24, 2 Rb 3.22
O 0.9470 0.9470 0.7611  1 Si 1.66
O 0.4678 0.4678 0.7441  1 Si 1.66
O 0.6197 0.1819 0.3906  1 Si 1.66
Li 0.6765 0.1847 0.6265  3 O 1.92-1.95
Li 0.6405 0.6405 0.1340  4 O 1.91-2.05
O 0.0240 0.5857 0.8045  1 Si 1.66
O 0.8696 0.8696 0.0673  1 Si 1.66
Si 0.4293 0.4293 0.2917  4 O 1.66
Li 0.0709 0.5551 0.1337  3 O 1.92-1.94
O 0.3835 0.3835 0.1031  1 Si 1.66
Na 0.2519 0.7481 0.0000  8 O 2.56-2.67
O 0.1819 0.6197 0.3906  1 Si 1.66
Li 0.5551 0.0709 0.1337  3 O 1.92-1.94
O 0.5322 0.5322 0.2559  1 Si 1.66
Li 0.9332 0.9332 0.2826  4 O 1.93-2.04
O 0.5857 0.0240 0.8045  1 Si 1.66
Li 0.0668 0.0668 0.7174  4 O 1.93-2.04
Rb 0.7554 0.7554 0.4689  8 O 2.97-3.10, 4 Li 3.17-3.24, 2 Rb 3.22
Si 0.5707 0.5707 0.7083  4 O 1.66
Li 0.8153 0.3235 0.3735  3 O 1.92-1.95
Li 0.3595 0.3595 0.8660  4 O 1.91-2.05
Na 0.7481 0.2519 0.0000  8 O 2.56-2.67
O 0.6165 0.6165 0.8969  1 Si 1.66
O 0.8181 0.3803 0.6094  1 Si 1.66
Li 0.3235 0.8153 0.3735  3 O 1.92-1.95
Li 0.1847 0.6765 0.6265  3 O 1.92-1.95
O 0.3803 0.8181 0.6094  1 Si 1.66
O 0.1304 0.1304 0.9327  1 Si 1.66

## Properties
volume: 11.06 Å³ per atom
energy with MP2020 corrections: -6.18 eV per atom
symmetry: C2/m, No. 12
spin magnetization: 0.0 μB per cell
energy of formation from the pure elements: -2.617 eV/atom